Computed, not measured: NiH20PtC4N4O12 after structural relaxation at the GGA+U level of DFT.

## Properties
* energy of formation from the pure elements: -1.02 eV/atom
* calculated volume: 411 Å³ per cell
* final energy: -5.749 eV/atom
* E (MP2020): -252.23 eV for the cell shown

Unit cell a=9.1330 b=9.1330 c=9.1330 alpha=133.26 beta=130.92 gamma=70.11
Last column: nearest neighbours and their distance in Å.
Positions (direct):
H: 0.7957 0.4447 0.3489  1 O 0.99
H: 0.6377 0.0223 0.8543  1 N 1.03
H: 0.6996 0.8183 0.8346  1 N 1.03
H: 0.3004 0.1350 0.1188  1 N 1.03
H: 0.1838 0.5777 0.3878  1 O 1.00
H: 0.0162 0.1817 0.8812  1 N 1.03
H: 0.9042 0.5553 0.3510  1 O 0.99
H: 0.3702 0.9786 0.1791  1 N 1.03
H: 0.2005 0.0214 0.3916  1 N 1.03
H: 0.8320 0.9777 0.6154  1 N 1.03
H: 0.2043 0.5533 0.6490  1 O 0.99
H: 0.8101 0.4223 0.6061  1 O 1.00
H: 0.1899 0.7960 0.6122  1 O 1.00
H: 0.8162 0.2040 0.3939  1 O 1.00
H: 0.9838 0.8650 0.1654  1 N 1.03
H: 0.0958 0.4467 0.6511  1 O 0.99
H: 0.7995 0.1911 0.8209  1 N 1.03
H: 0.6298 0.8089 0.6084  1 N 1.03
H: 0.1680 0.7834 0.1457  1 N 1.03
H: 0.3623 0.2166 0.3846  1 N 1.03
O: 0.6090 0.7923 0.1936  1 C 1.28
O: 0.2469 0.0591 0.8167  1 C 1.26
O: 0.1464 0.6464 0.5000  2 H 1.00
O: 0.7576 0.9409 0.1878  1 C 1.26
O: 0.8536 0.3536 0.5000  2 H 1.00
O: 0.2424 0.4302 0.1833  1 C 1.26
O: 0.4013 0.2077 0.8168  1 C 1.28
O: 0.3910 0.5845 0.1832  1 C 1.28
O: 0.7531 0.5698 0.8122  1 C 1.26
O: 0.7747 0.5000 0.2747  2 H 0.99
O: 0.2253 0.5000 0.7253  2 H 0.99
O: 0.5987 0.4155 0.8064  1 C 1.28
N: 0.0999 0.9066 0.1979  3 H 1.03
N: 0.7087 0.9020 0.8021  3 H 1.03
N: 0.9001 0.0980 0.8067  3 H 1.03
N: 0.2913 0.0934 0.1933  3 H 1.03
C: 0.6780 0.5717 0.8896  2 O 1.26-1.28
C: 0.3220 0.2116 0.8937  2 O 1.26-1.28
C: 0.6821 0.7884 0.1104  2 O 1.26-1.28
C: 0.3179 0.4283 0.1063  2 O 1.26-1.28
Pt: 0.0000 0.0000 0.0000  4 N 2.06
Ni: 0.5000 0.5000 0.0000  6 O 2.07-2.08